(1)
12
Lattice="0.508 -0.294 -3.438 -1.812 -2.441 1.711 -13.481 8.128 -2.687" Properties=species:S:1:pos:R:3 comment="LiMn5O5F, optimized geometry, DFT GGA+U" volume_a3_per_cell=168.3 formation_enthalpy_0k_mev_per_atom=-2088 space_group=P3m1 final_energy_ev_per_atom=-7.266 pbc="T T T"
O -13.197 6.786 -4.299
Mn -14.424 6.345 -2.673
F -11.791 4.757 -2.148
Mn -6.969 3.032 -3.058
Li -11.604 5.826 -3.982
O -4.253 1.394 -2.517
Mn -9.997 3.676 -1.791
O -8.796 4.133 -3.422
Mn -5.477 0.950 -0.890
O -7.298 2.049 -1.253
O -2.762 -0.686 -0.349
Mn -2.433 0.297 -2.154

(2)
24
Lattice="-1.504 -3.746 -4.679 -6.760 1.352 4.613 -3.405 5.404 -2.039" Properties=species:S:1:pos:R:3 comment="Li2Mn3OF6, optimized geometry, DFT GGA+U" volume_a3_per_cell=301.5 formation_enthalpy_0k_mev_per_atom=-2790 space_group=P1 final_energy_ev_per_atom=-6.063 pbc="T T T"
F -5.571 -0.030 -0.895
F -3.357 -1.370 -2.129
Li -8.813 4.566 2.410
Li -2.857 -1.555 -4.509
F -9.163 2.593 -2.292
F -3.441 1.539 -2.646
Mn -4.467 4.403 -1.044
F -6.105 3.046 -1.217
O -7.402 3.144 2.786
F -10.371 5.765 1.591
Mn -6.745 3.103 0.811
Mn -9.790 2.882 -0.199
Li -4.449 0.325 0.668
Li -7.226 2.689 -2.777
O -4.266 -0.134 -4.889
F -6.758 1.012 -3.652
F -1.290 -2.774 -3.696
Mn -1.870 0.124 -1.896
F -2.506 0.419 0.190
F -4.914 2.009 1.540
F -8.312 4.383 0.023
Mn -4.924 -0.086 -2.924
F -8.219 1.467 0.557
Mn -7.205 -1.392 -1.068

(3)
28
Lattice="5.471 -0.064 -0.253 -2.987 1.739 5.534 2.596 -8.462 5.248" Properties=species:S:1:pos:R:3 comment="Li7MnO3F3, optimized geometry, DFT GGA+U" volume_a3_per_cell=298.9 polymorph_energy_ev_per_atom=0.018 formation_enthalpy_0k_mev_per_atom=-2421 space_group=P1 final_energy_ev_per_atom=-5.135 pbc="T T T"
O 6.333 -5.130 3.746
Li 3.157 -3.199 7.116
Li 4.386 -4.767 8.614
O 3.783 -3.498 3.813
Li 0.845 -1.735 1.710
Mn 2.779 -7.989 5.314
Li 1.633 -0.123 3.444
O 1.510 0.048 1.502
Li 2.269 -5.007 5.492
Li 1.540 -6.878 8.714
F 0.830 -1.789 3.813
F 3.454 -6.699 9.187
O 1.544 -6.789 6.555
Li 4.350 -1.714 3.413
Li 4.379 -5.238 3.176
Li 0.710 -1.730 7.230
Li 1.959 -3.392 3.520
F 4.403 -1.707 1.391
Li 3.382 -0.072 1.530
O 0.707 -5.245 9.306
Li 5.517 -6.720 4.813
F 3.511 -0.033 3.634
Mn 5.402 -3.654 4.965
O 1.329 -3.542 6.687
Li 0.675 -5.245 7.316
F -1.223 -1.635 7.109
F 4.121 -5.023 6.729
Li 3.432 -6.706 7.270

(4)
40
Lattice="-3.500 2.230 -2.303 2.737 6.134 -0.962 6.248 -5.492 -10.599" Properties=species:S:1:pos:R:3 comment="Li5MnO3F, optimized geometry, DFT GGA+U" volume_a3_per_cell=420.3 polymorph_energy_ev_per_atom=0.006 formation_enthalpy_0k_mev_per_atom=-2190 space_group=P-1 final_energy_ev_per_atom=-5.317 pbc="T T T"
Li -1.289 4.521 -2.424
Mn 2.808 -3.275 -12.851
F 5.079 -0.787 -10.984
Li 1.947 2.239 -7.359
Li -1.865 1.159 -4.792
Li 0.701 5.590 -3.180
O 3.845 2.455 -7.049
O 3.958 4.248 -9.532
Li 3.111 -1.045 -11.280
Li 5.462 1.271 -11.551
F 5.433 1.482 -9.458
O 0.419 3.732 -2.793
Li 2.563 5.630 -4.913
O 2.644 5.816 -2.872
Li 2.977 -2.651 -8.974
Li 6.837 -1.582 -11.460
O 1.499 -1.312 -4.397
Li 3.563 0.597 -6.662
Li 7.400 1.739 -9.161
Li 3.674 2.276 -8.980
O -1.018 6.452 -2.860
F 3.666 0.871 -4.592
Mn -0.064 1.752 -2.438
Li 4.797 -2.790 -10.506
Mn 1.467 0.066 -8.931
Li 0.279 3.290 -4.705
O 6.553 -3.554 -10.909
O 2.911 -2.953 -10.932
O 0.027 1.364 -4.483
O 1.781 1.965 -9.285
Li 3.984 2.897 -5.138
Li 5.553 1.666 -7.418
Li -0.109 1.123 -6.392
Li 5.049 -0.577 -8.890
F 0.597 5.316 -5.249
O 4.863 -2.487 -8.547
Mn 1.590 -1.700 -6.443
O 1.620 0.371 -6.970
Li 2.316 3.948 -2.483
Li 1.700 0.556 -4.929

(5)
28
Lattice="-3.435 3.734 0.028 -6.103 -5.669 7.167 3.026 2.748 4.751" Properties=species:S:1:pos:R:3 comment="LiMn2OF3, optimized geometry, DFT GGA+U" volume_a3_per_cell=349.4 polymorph_energy_ev_per_atom=0.014 formation_enthalpy_0k_mev_per_atom=-2675 space_group=Pnma final_energy_ev_per_atom=-6.320 pbc="T T T"
F -2.679 3.050 2.009
Mn -1.922 5.108 2.403
F -3.092 2.419 4.822
F -3.420 -1.606 7.123
Li -5.200 -1.000 10.092
F -1.139 0.987 6.356
Mn -5.637 -2.088 6.865
Mn -5.348 1.610 8.676
Mn -1.743 1.781 8.348
F -4.847 -2.902 4.884
F -0.497 1.369 3.540
Mn 3.026 2.748 4.751
F -4.589 0.740 10.644
F -1.666 3.715 7.062
F -1.924 0.073 1.301
Mn -1.164 -0.797 3.270
O -5.814 -3.776 7.954
O -3.659 1.656 7.574
Mn -0.875 2.901 5.081
O -2.853 -0.843 4.372
Li -1.312 1.813 1.854
F -5.373 -0.174 5.590
O -0.698 4.589 3.991
F -6.015 -0.556 8.405
F -3.833 -2.237 9.936
Mn -3.256 0.407 5.973
Li -3.454 3.254 6.519
Li -3.058 -2.441 5.427

(6)
14
Lattice="1.567 -3.419 5.112 -3.693 -4.751 1.932 1.906 -6.020 -0.635" Properties=species:S:1:pos:R:3 comment="LiMn2OF3, optimized geometry, DFT GGA+U" piezo_max_c_m2=0.32 volume_a3_per_cell=178.3 polymorph_energy_ev_per_atom=0.008 formation_enthalpy_0k_mev_per_atom=-2680 space_group=Cm final_energy_ev_per_atom=-6.325 pbc="T T T"
F -0.923 -8.797 2.249
O -0.157 -10.369 4.683
F 0.855 -6.609 1.376
F -1.828 -5.995 2.605
Mn 0.654 -8.804 5.722
Mn -1.902 -9.461 4.169
O -0.056 -3.879 1.752
Li -0.110 -7.125 3.218
F 0.692 -5.361 4.133
Li -0.188 -12.171 5.497
Mn 0.820 -10.076 2.910
Mn -0.039 -2.069 0.934
F -1.087 -7.540 5.026
F 1.616 -8.166 3.791

(7)
56
Lattice="-0.068 4.036 4.865 -5.848 -6.657 4.708 8.212 -1.057 4.388" Properties=species:S:1:pos:R:3 comment="Li7MnO3F3, optimized geometry, DFT GGA+U" piezo_max_c_m2=0.44 volume_a3_per_cell=557.2 polymorph_energy_ev_per_atom=0.000 formation_enthalpy_0k_mev_per_atom=-2439 final_energy_ev_per_atom=-5.153 pbc="T T T"
Li -1.227 -3.928 7.041
O 1.807 0.367 3.577
O 0.940 2.564 5.871
Li -1.971 0.099 6.960
O -1.151 -0.943 8.363
O 0.678 -3.963 10.380
Mn 7.972 -1.114 4.610
Li -2.778 -2.092 7.532
O 4.279 -1.640 11.225
Li 5.308 -1.540 6.312
Li 3.614 0.227 6.762
Li -0.150 -3.273 12.119
F -2.233 -3.777 8.644
Li 2.682 -0.359 1.726
Li 0.724 -5.120 6.683
Li 6.329 -0.288 8.158
Li -2.268 -4.663 5.191
Li 0.621 0.684 5.270
Li -0.277 -1.669 6.513
Mn -0.572 -2.552 9.593
F -1.087 -0.069 5.272
O 1.651 -0.457 6.639
F 6.242 1.697 8.524
Li 7.249 1.547 6.921
Li 0.180 -0.781 2.746
O 1.544 -6.162 8.086
Li 1.843 2.345 4.236
O 3.635 -2.653 5.594
Li -1.047 -3.001 4.157
F 0.553 -3.340 7.358
Li 4.470 1.163 8.822
Li 3.253 -0.497 9.857
Mn 2.384 -1.240 4.809
O -1.238 -5.804 6.559
Li 4.359 -3.800 6.842
Li 2.351 -2.851 11.098
F -2.071 -2.159 2.769
Mn 5.015 -2.421 9.395
F -3.976 -5.415 5.193
Li 1.581 -4.184 8.743
F -5.030 -3.468 7.556
Li -4.861 -5.247 6.882
F 3.444 2.005 7.436
F 4.504 0.069 5.080
O 7.237 -0.330 6.439
F 0.725 -2.466 3.858
Li 2.809 -1.963 7.333
F 1.546 -1.241 9.866
Li 0.746 -0.415 8.360
O 4.433 -0.816 8.164
Li 3.439 -5.634 8.080
Li 0.362 -5.844 9.779
F 3.352 -3.650 8.445
Li 1.664 1.418 7.119
Li -2.144 -5.761 8.282
O -1.951 -2.782 5.793

(8)
10
Lattice="-0.391 -5.040 0.552 5.004 2.047 1.213 -3.046 -2.020 3.848" Properties=species:S:1:pos:R:3 comment="LiMn3O4F2, optimized geometry, DFT GGA+U" volume_a3_per_cell=109.5 polymorph_energy_ev_per_atom=0.014 formation_enthalpy_0k_mev_per_atom=-2262 space_group=P1 final_energy_ev_per_atom=-6.696 pbc="T T T"
O -0.043 -0.798 2.156
Mn 1.694 -0.193 1.190
Mn -0.349 -4.865 4.351
O 2.774 -1.646 2.050
F 0.930 -1.547 4.826
Mn -0.827 -2.479 1.640
O -1.173 -3.190 3.388
F 1.541 -4.305 3.597
O 0.905 -3.514 1.012
Li 2.385 -2.523 3.852